The following is a PBE calculation of AlGaN2 after structural relaxation, from Materials Project.

Properties
The energy relative to the lowest polymorph listed for this composition comes out at 6 meV/atom. The largest piezoelectric modulus comes out at 0.48 C/m2.

Unit cell a=3.1642 b=3.1642 c=4.4673 alpha=90.00 beta=90.00 gamma=90.00
Fractional coordinates of all 4 atoms:
Al  0.5000  0.5000  0.5000
Ga  0.0000  0.0000  0.0000
N  0.5000  0.0000  0.7388
N  0.0000  0.5000  0.2612